No. 1
# Na10Sc7NbSi6S6O48

A relaxed Na10Sc7NbSi6S6O48 crystal (PBE, the Materials Project database).

## Properties
As for the space group: P1, No. 1. The value obtained for the formation energy is -2811.4 meV/atom. The calculation puts the total moment at 0.00 μB per cell.

Cell lengths 18.147, 9.072, 22.910 Å; angles 90.19, 89.69, 119.91 degrees
Fractional coordinates of all 234 atoms:
O (0.742, 0.358, 0.143)
O (0.934, 0.510, 0.420)
O (0.587, 0.478, 0.253)
O (0.224, 0.304, 0.030)
O (0.819, 0.488, 0.920)
O (0.656, 0.482, 0.754)
O (0.081, 0.661, 0.076)
O (0.092, 0.985, 0.913)
O (0.235, 0.350, 0.136)
O (0.157, 0.457, 0.470)
O (0.989, 0.825, 0.090)
O (0.245, 0.327, 0.747)
O (0.316, 0.487, 0.921)
O (0.321, 0.130, 0.422)
O (0.745, 0.131, 0.920)
O (0.348, 0.157, 0.746)
O (0.318, 0.515, 0.641)
O (0.680, 0.506, 0.079)
O (0.738, 0.116, 0.636)
O (0.512, 0.813, 0.697)
O (0.757, 0.833, 0.753)
O (0.753, 0.670, 0.576)
O (0.240, 0.166, 0.240)
O (0.405, 0.841, 0.196)
O (0.601, 0.172, 0.810)
O (0.515, 0.205, 0.910)
O (0.062, 0.650, 0.364)
O (0.407, 0.018, 0.801)
O (0.578, 0.685, 0.471)
O (0.673, 0.877, 0.861)
O (0.397, 0.971, 0.413)
O (0.761, 0.868, 0.080)
O (0.268, 0.846, 0.756)
O (0.391, 0.971, 0.696)
O (0.245, 0.131, 0.922)
O (0.483, 0.786, 0.802)
O (0.155, 0.855, 0.969)
O (0.566, 0.484, 0.577)
O (0.946, 0.534, 0.145)
O (0.488, 0.819, 0.095)
O (0.818, 0.521, 0.645)
O (0.680, 0.871, 0.576)
O (0.901, 0.973, 0.692)
O (0.939, 0.369, 0.644)
O (0.014, 0.192, 0.193)
O (0.085, 0.189, 0.695)
O (0.059, 0.475, 0.862)
O (0.083, 0.474, 0.255)
O (0.175, 0.483, 0.078)
O (0.350, 0.549, 0.524)
O (0.440, 0.520, 0.145)
O (0.563, 0.648, 0.356)
O (0.244, 0.360, 0.420)
O (0.728, 0.148, 0.531)
O (0.270, 0.852, 0.469)
O (0.098, 0.175, 0.089)
O (0.761, 0.701, 0.255)
O (0.487, 0.167, 0.307)
O (0.069, 0.681, 0.470)
O (0.913, 0.285, 0.530)
O (0.919, 0.548, 0.030)
O (0.590, 0.971, 0.197)
O (0.440, 0.359, 0.637)
O (0.764, 0.878, 0.364)
O (0.731, 0.151, 0.242)
O (0.558, 0.478, 0.863)
O (0.572, 0.454, 0.968)
O (0.845, 0.174, 0.742)
O (0.486, 0.176, 0.590)
O (0.591, 0.202, 0.412)
O (0.916, 0.034, 0.803)
O (0.607, 0.030, 0.302)
O (0.912, 0.837, 0.912)
O (0.426, 0.305, 0.532)
O (0.012, 0.811, 0.695)
O (0.821, 0.134, 0.421)
O (0.343, 0.146, 0.032)
O (0.104, 0.183, 0.812)
O (0.261, 0.876, 0.363)
O (0.825, 0.120, 0.139)
O (0.900, 0.980, 0.414)
O (0.600, 0.019, 0.588)
O (0.323, 0.117, 0.138)
O (0.934, 0.349, 0.923)
O (0.092, 0.019, 0.594)
O (0.681, 0.473, 0.362)
O (0.250, 0.651, 0.577)
O (0.412, 0.025, 0.087)
O (0.175, 0.477, 0.364)
O (0.077, 0.689, 0.755)
O (0.011, 0.821, 0.415)
O (0.019, 0.209, 0.913)
O (0.587, 0.190, 0.695)
O (0.772, 0.861, 0.470)
O (0.262, 0.698, 0.256)
O (0.257, 0.636, 0.857)
O (0.264, 0.687, 0.972)
O (0.415, 0.304, 0.244)
O (0.745, 0.352, 0.423)
O (0.075, 0.465, 0.967)
O (0.579, 0.700, 0.757)
O (0.589, 0.162, 0.094)
O (0.989, 0.795, 0.800)
O (0.980, 0.165, 0.306)
O (0.917, 0.793, 0.305)
O (0.757, 0.638, 0.859)
O (0.505, 0.836, 0.415)
O (0.591, 0.986, 0.912)
O (0.913, 0.020, 0.089)
O (0.410, 0.836, 0.910)
O (0.852, 0.540, 0.530)
O (0.901, 0.829, 0.193)
O (0.176, 0.874, 0.864)
O (0.082, 0.968, 0.195)
O (0.847, 0.148, 0.033)
O (0.579, 0.662, 0.077)
O (0.911, 0.303, 0.243)
O (0.769, 0.688, 0.976)
O (0.250, 0.120, 0.639)
O (0.924, 0.540, 0.745)
O (0.421, 0.497, 0.420)
O (0.515, 0.191, 0.194)
O (0.432, 0.346, 0.923)
O (0.151, 0.480, 0.752)
O (0.151, 0.827, 0.255)
O (0.724, 0.297, 0.025)
O (0.424, 0.535, 0.744)
O (0.172, 0.848, 0.575)
O (0.228, 0.169, 0.527)
O (0.839, 0.513, 0.246)
O (0.341, 0.520, 0.243)
O (0.259, 0.867, 0.079)
O (0.413, 0.788, 0.309)
O (0.921, 0.817, 0.593)
O (0.741, 0.312, 0.747)
O (0.088, 0.201, 0.414)
O (0.422, 0.545, 0.029)
O (0.653, 0.846, 0.255)
O (0.073, 0.495, 0.575)
O (0.989, 0.163, 0.591)
O (0.655, 0.853, 0.967)
O (0.417, 0.833, 0.590)
O (0.104, 0.044, 0.307)
O (0.659, 0.459, 0.468)
Na (0.319, 0.006, 0.250)
Na (0.508, 0.990, 0.499)
Na (0.160, 0.663, 0.163)
Na (0.821, 0.002, 0.252)
Na (0.496, 0.621, 0.252)
Na (0.672, 0.311, 0.917)
Na (0.185, 0.363, 0.251)
Na (0.656, 0.646, 0.161)
Na (0.999, 0.996, 0.495)
Na (0.170, 0.306, 0.912)
Na (0.357, 0.666, 0.417)
Na (0.996, 0.628, 0.248)
Na (0.161, 0.344, 0.582)
Na (0.333, 0.329, 0.834)
Na (0.168, 0.670, 0.664)
Na (0.686, 0.010, 0.754)
Na (0.809, 0.623, 0.750)
Na (0.831, 0.683, 0.077)
Na (0.839, 0.342, 0.333)
Na (0.831, 0.332, 0.837)
Na (0.013, 0.693, 0.582)
Na (0.340, 0.334, 0.333)
Na (0.314, 0.624, 0.749)
Na (0.663, 0.638, 0.668)
Na (0.997, 0.354, 0.749)
Na (0.831, 0.965, 0.580)
Na (0.992, 0.979, 0.997)
Na (0.686, 0.377, 0.243)
Na (0.331, 0.965, 0.585)
Na (0.494, 0.977, 0.998)
Si (0.188, 0.042, 0.582)
Si (0.685, 0.331, 0.084)
Si (0.829, 0.627, 0.585)
Si (0.147, 0.292, 0.754)
Si (0.316, 0.670, 0.917)
Si (0.483, 0.630, 0.086)
Si (0.852, 0.003, 0.750)
Si (0.645, 0.291, 0.752)
Si (0.817, 0.670, 0.918)
Si (0.987, 0.635, 0.084)
Si (0.501, 0.288, 0.251)
Si (0.996, 0.287, 0.250)
Si (0.338, 0.638, 0.583)
Si (0.851, 0.704, 0.252)
Si (0.517, 0.667, 0.416)
Si (0.977, 0.335, 0.585)
Si (0.148, 0.003, 0.252)
Si (0.355, 0.711, 0.251)
S (0.668, 0.371, 0.417)
S (0.520, 0.374, 0.916)
S (0.686, 0.041, 0.582)
S (0.480, 0.335, 0.584)
S (0.332, 0.042, 0.083)
S (0.020, 0.375, 0.917)
S (0.312, 0.960, 0.417)
S (0.836, 0.043, 0.084)
S (0.165, 0.371, 0.417)
S (0.167, 0.960, 0.917)
S (0.185, 0.330, 0.083)
S (0.355, 0.003, 0.750)
S (0.644, 0.000, 0.249)
S (0.500, 0.707, 0.750)
S (0.814, 0.963, 0.417)
S (0.020, 0.667, 0.417)
S (0.002, 0.712, 0.749)
S (0.667, 0.959, 0.916)
Sc (0.504, 0.007, 0.648)
Sc (0.994, 0.999, 0.852)
Sc (0.499, 0.995, 0.853)
Sc (0.830, 0.338, 0.684)
Sc (0.169, 0.672, 0.018)
Sc (0.342, 0.362, 0.983)
Sc (0.336, 0.346, 0.484)
Sc (0.660, 0.653, 0.316)
Sc (0.171, 0.662, 0.817)
Sc (0.661, 0.662, 0.515)
Sc (0.499, 0.994, 0.352)
Sc (0.340, 0.344, 0.187)
Sc (0.324, 0.327, 0.683)
Sc (0.833, 0.354, 0.985)
Sc (0.839, 0.345, 0.485)
Sc (0.666, 0.662, 0.021)
Sc (0.167, 0.665, 0.522)
Sc (0.672, 0.658, 0.814)
Sc (0.841, 0.354, 0.181)
Sc (0.164, 0.664, 0.308)
Sc (0.998, 0.999, 0.348)
Nb (0.999, 0.010, 0.645)
Nb (0.496, 0.002, 0.143)
Nb (0.001, 0.992, 0.151)

No. 2
# Na10In4Si7Sn4S5O48

A relaxed Na10In4Si7Sn4S5O48 crystal (PBE, the Materials Project database).

## Properties
As for the space group: P1, No. 1. The value obtained for the formation energy is -2319.4 meV/atom. The calculation puts the total moment at 0.01 μB per cell.

Cell lengths 18.185, 9.095, 22.751 Å; angles 89.91, 89.40, 119.83 degrees
Fractional coordinates of all 234 atoms:
O (0.758, 0.701, 0.255)
O (0.442, 0.541, 0.139)
O (0.988, 0.203, 0.315)
O (0.260, 0.653, 0.579)
O (0.431, 0.550, 0.031)
O (0.737, 0.116, 0.647)
O (0.061, 0.498, 0.861)
O (0.496, 0.172, 0.912)
O (0.156, 0.474, 0.754)
O (0.828, 0.149, 0.748)
O (0.848, 0.140, 0.027)
O (0.654, 0.451, 0.479)
O (0.090, 0.689, 0.751)
O (0.585, 0.677, 0.753)
O (0.230, 0.338, 0.147)
O (0.232, 0.311, 0.026)
O (0.590, 0.039, 0.590)
O (0.927, 0.374, 0.927)
O (0.760, 0.870, 0.080)
O (0.985, 0.808, 0.085)
O (0.733, 0.309, 0.030)
O (0.756, 0.150, 0.922)
O (0.690, 0.889, 0.858)
O (0.085, 0.493, 0.253)
O (0.112, 0.027, 0.303)
O (0.404, 0.829, 0.192)
O (0.987, 0.169, 0.586)
O (0.825, 0.509, 0.921)
O (0.249, 0.159, 0.921)
O (0.412, 0.019, 0.086)
O (0.418, 0.327, 0.244)
O (0.931, 0.303, 0.526)
O (0.315, 0.499, 0.921)
O (0.898, 0.986, 0.690)
O (0.914, 0.022, 0.084)
O (0.081, 0.189, 0.414)
O (0.487, 0.202, 0.315)
O (0.324, 0.140, 0.420)
O (0.773, 0.681, 0.972)
O (0.397, 0.803, 0.912)
O (0.431, 0.311, 0.528)
O (0.594, 0.225, 0.694)
O (0.559, 0.486, 0.857)
O (0.932, 0.551, 0.030)
O (0.066, 0.693, 0.480)
O (0.658, 0.843, 0.974)
O (0.612, 0.027, 0.303)
O (0.574, 0.698, 0.474)
O (0.020, 0.823, 0.694)
O (0.942, 0.541, 0.138)
O (0.484, 0.807, 0.086)
O (0.334, 0.151, 0.747)
O (0.348, 0.558, 0.526)
O (0.418, 0.508, 0.744)
O (0.328, 0.121, 0.137)
O (0.939, 0.351, 0.633)
O (0.064, 0.639, 0.360)
O (0.329, 0.532, 0.634)
O (0.566, 0.469, 0.582)
O (0.994, 0.781, 0.814)
O (0.184, 0.891, 0.855)
O (0.174, 0.501, 0.082)
O (0.259, 0.885, 0.364)
O (0.274, 0.868, 0.471)
O (0.757, 0.812, 0.753)
O (0.994, 0.817, 0.413)
O (0.083, 0.986, 0.915)
O (0.687, 0.492, 0.360)
O (0.910, 0.787, 0.310)
O (0.585, 0.492, 0.253)
O (0.486, 0.164, 0.585)
O (0.675, 0.855, 0.580)
O (0.026, 0.213, 0.198)
O (0.902, 0.018, 0.811)
O (0.349, 0.142, 0.030)
O (0.492, 0.814, 0.413)
O (0.426, 0.378, 0.923)
O (0.234, 0.140, 0.243)
O (0.257, 0.635, 0.865)
O (0.409, 0.785, 0.310)
O (0.396, 0.979, 0.412)
O (0.088, 0.151, 0.086)
O (0.335, 0.518, 0.247)
O (0.830, 0.127, 0.135)
O (0.421, 0.046, 0.801)
O (0.728, 0.339, 0.149)
O (0.823, 0.140, 0.421)
O (0.587, 0.152, 0.087)
O (0.256, 0.362, 0.421)
O (0.092, 0.217, 0.699)
O (0.918, 0.327, 0.243)
O (0.068, 0.665, 0.081)
O (0.815, 0.500, 0.635)
O (0.152, 0.835, 0.256)
O (0.568, 0.667, 0.082)
O (0.896, 0.980, 0.412)
O (0.605, 0.189, 0.800)
O (0.859, 0.565, 0.521)
O (0.734, 0.139, 0.243)
O (0.258, 0.702, 0.254)
O (0.233, 0.153, 0.528)
O (0.750, 0.655, 0.578)
O (0.760, 0.634, 0.864)
O (0.235, 0.118, 0.647)
O (0.581, 0.971, 0.915)
O (0.997, 0.174, 0.911)
O (0.191, 0.490, 0.357)
O (0.730, 0.317, 0.745)
O (0.755, 0.357, 0.418)
O (0.652, 0.834, 0.256)
O (0.111, 0.206, 0.806)
O (0.836, 0.519, 0.247)
O (0.897, 0.812, 0.914)
O (0.093, 0.963, 0.197)
O (0.525, 0.211, 0.199)
O (0.168, 0.841, 0.583)
O (0.089, 0.022, 0.589)
O (0.274, 0.684, 0.972)
O (0.903, 0.829, 0.192)
O (0.231, 0.318, 0.744)
O (0.650, 0.466, 0.755)
O (0.571, 0.445, 0.975)
O (0.082, 0.434, 0.973)
O (0.395, 0.971, 0.687)
O (0.674, 0.501, 0.083)
O (0.926, 0.475, 0.420)
O (0.525, 0.832, 0.697)
O (0.558, 0.633, 0.356)
O (0.066, 0.478, 0.578)
O (0.425, 0.476, 0.424)
O (0.438, 0.339, 0.636)
O (0.260, 0.815, 0.756)
O (0.152, 0.838, 0.972)
O (0.916, 0.512, 0.747)
O (0.593, 0.962, 0.197)
O (0.758, 0.883, 0.365)
O (0.580, 0.184, 0.414)
O (0.258, 0.869, 0.080)
O (0.156, 0.470, 0.473)
O (0.489, 0.777, 0.814)
O (0.774, 0.870, 0.473)
O (0.730, 0.172, 0.530)
O (0.415, 0.805, 0.584)
O (0.918, 0.824, 0.588)
Na (0.492, 0.312, 0.409)
Na (0.673, 0.689, 0.667)
Na (0.340, 0.317, 0.833)
Na (0.991, 0.625, 0.257)
Na (0.991, 0.309, 0.410)
Na (0.491, 0.352, 0.762)
Na (0.157, 0.289, 0.926)
Na (0.676, 0.656, 0.162)
Na (0.522, 0.054, 0.994)
Na (0.492, 0.625, 0.256)
Na (0.995, 0.676, 0.908)
Na (0.017, 0.706, 0.578)
Na (0.683, 0.375, 0.240)
Na (0.014, 0.023, 0.000)
Na (0.826, 0.956, 0.595)
Na (0.845, 0.336, 0.825)
Na (0.184, 0.374, 0.240)
Na (0.177, 0.655, 0.162)
Na (0.334, 0.331, 0.329)
Na (0.834, 0.331, 0.331)
Na (0.026, 0.007, 0.497)
Na (0.184, 0.995, 0.744)
Na (0.682, 0.995, 0.743)
Na (0.849, 0.665, 0.408)
Na (0.492, 0.674, 0.910)
Na (0.521, 0.990, 0.495)
Na (0.661, 0.345, 0.579)
Na (0.348, 0.662, 0.403)
Na (0.849, 0.034, 0.903)
Na (0.176, 0.687, 0.669)
Si (0.666, 0.367, 0.419)
Si (0.018, 0.369, 0.918)
Si (0.168, 0.963, 0.917)
Si (0.185, 0.037, 0.587)
Si (0.016, 0.665, 0.419)
Si (0.683, 0.040, 0.587)
Si (0.516, 0.365, 0.917)
Si (0.168, 0.372, 0.418)
Si (0.850, 0.995, 0.752)
Si (0.517, 0.666, 0.418)
Si (0.353, 0.714, 0.251)
Si (0.353, 0.991, 0.750)
Si (0.682, 0.330, 0.087)
Si (0.999, 0.298, 0.252)
Si (0.853, 0.715, 0.251)
Si (0.499, 0.698, 0.753)
Si (0.667, 0.962, 0.919)
Si (0.834, 0.633, 0.582)
Si (0.498, 0.298, 0.253)
Si (0.183, 0.331, 0.086)
Si (0.000, 0.696, 0.752)
S (0.312, 0.965, 0.417)
S (0.336, 0.634, 0.582)
S (0.982, 0.640, 0.083)
S (0.148, 0.993, 0.249)
S (0.335, 0.036, 0.084)
S (0.646, 0.298, 0.749)
S (0.811, 0.965, 0.418)
S (0.147, 0.303, 0.750)
S (0.981, 0.327, 0.581)
S (0.835, 0.037, 0.083)
S (0.479, 0.321, 0.583)
S (0.311, 0.660, 0.918)
S (0.482, 0.640, 0.084)
S (0.811, 0.659, 0.918)
S (0.648, 0.993, 0.249)
Sn (0.826, 0.323, 0.982)
Sn (0.665, 0.676, 0.816)
Sn (0.998, 0.985, 0.651)
Sn (0.000, 0.015, 0.148)
Sn (0.327, 0.331, 0.482)
Sn (0.664, 0.654, 0.315)
Sn (0.500, 0.013, 0.148)
Sn (0.165, 0.653, 0.315)
Sn (0.163, 0.677, 0.815)
Sn (0.497, 0.982, 0.651)
Sn (0.329, 0.319, 0.981)
Sn (0.829, 0.344, 0.482)
In (0.999, 0.996, 0.848)
In (0.498, 0.997, 0.853)
In (0.332, 0.327, 0.686)
In (0.160, 0.652, 0.018)
In (0.661, 0.667, 0.519)
In (0.002, 0.005, 0.351)
In (0.334, 0.340, 0.183)
In (0.164, 0.673, 0.517)
In (0.833, 0.340, 0.183)
In (0.835, 0.336, 0.686)
In (0.502, 0.004, 0.350)
In (0.659, 0.647, 0.019)

> Which of these has the lowest total moment?

Na10Sc7NbSi6S6O48

> Which formula does entry 2 have?

Na10In4Si7Sn4S5O48

> Which of these has the highest total moment?

Na10In4Si7Sn4S5O48